Entry 1:
{
  "formula": "NdIn5Rh",
  "functional": "PBE",
  "state": "relaxed",
  "lattice_angstrom": [[4.7342, 0.0000, 0.0000], [0.0000, 4.7342, 0.0000], [0.0000, 0.0000, 7.6881]],
  "species": ["Nd", "In", "In", "In", "In", "In", "Rh"],
  "fractional_positions": [[0.0000, 0.0000, 0.0000], [0.0000, 0.5000, 0.3034], [0.0000, 0.5000, 0.6966], [0.5000, 0.0000, 0.3034], [0.5000, 0.0000, 0.6966], [0.5000, 0.5000, 0.0000], [0.0000, 0.0000, 0.5000]],
  "final_energy_ev_per_atom": -4.140,
  "e_form_ev_per_atom": -0.441,
  "spacegroup": "No. 123"
}

Entry 2:
{
  "formula": "NdIn2Rh",
  "functional": "PBE",
  "state": "relaxed",
  "lattice_angstrom": [[2.2248, -5.1668, 0.0000], [2.2248, 5.1668, 0.0000], [0.0000, 0.0000, 8.0481]],
  "species": ["Nd", "Nd", "In", "In", "In", "In", "Rh", "Rh"],
  "fractional_positions": [[0.0683, 0.9317, 0.7500], [0.9317, 0.0683, 0.2500], [0.3549, 0.6451, 0.5517], [0.3549, 0.6451, 0.9483], [0.6451, 0.3549, 0.0517], [0.6451, 0.3549, 0.4483], [0.2178, 0.7822, 0.2500], [0.7822, 0.2178, 0.7500]],
  "final_energy_ev_per_atom": -5.011,
  "e_form_ev_per_atom": -0.602,
  "spacegroup": "No. 63"
}

Entry 3:
{
  "formula": "NdInRh2",
  "functional": "PBE",
  "state": "relaxed",
  "lattice_angstrom": [[0.0000, 3.3947, 3.3947], [3.3947, 0.0000, 3.3947], [3.3947, 3.3947, 0.0000]],
  "species": ["Nd", "In", "Rh", "Rh"],
  "fractional_positions": [[0.0000, 0.0000, 0.0000], [0.5000, 0.5000, 0.5000], [0.2500, 0.2500, 0.2500], [0.7500, 0.7500, 0.7500]],
  "final_energy_ev_per_atom": -6.162,
  "e_form_ev_per_atom": -0.600,
  "spacegroup": "No. 225"
}

Entry 4:
{
  "formula": "Nd3InS6",
  "functional": "PBE",
  "state": "relaxed",
  "lattice_angstrom": [[13.8009, 0.0000, 0.0000], [0.0000, 16.8793, 0.0000], [0.0000, 0.0000, 4.0060]],
  "species": ["Nd", "Nd", "Nd", "Nd", "Nd", "Nd", "Nd", "Nd", "Nd", "Nd", "Nd", "Nd", "In", "In", "In", "In", "S", "S", "S", "S", "S", "S", "S", "S", "S", "S", "S", "S", "S", "S", "S", "S", "S", "S", "S", "S", "S", "S", "S", "S"],
  "fractional_positions": [[0.0371, 0.2217, 0.2455], [0.1907, 0.6437, 0.2467], [0.2476, 0.3907, 0.2394], [0.2524, 0.8907, 0.7606], [0.3093, 0.1437, 0.7533], [0.4629, 0.7217, 0.7545], [0.5371, 0.2783, 0.7545], [0.6907, 0.8563, 0.7533], [0.7476, 0.1093, 0.7606], [0.7524, 0.6093, 0.2394], [0.8093, 0.3563, 0.2467], [0.9629, 0.7783, 0.2455], [0.0000, 0.0000, 0.9058], [0.0000, 0.5000, 0.7461], [0.5000, 0.0000, 0.2539], [0.5000, 0.5000, 0.0942], [0.0206, 0.3964, 0.2458], [0.1022, 0.9097, 0.2658], [0.1070, 0.1109, 0.7472], [0.1143, 0.7444, 0.7478], [0.1781, 0.2822, 0.7426], [0.1889, 0.5179, 0.7454], [0.3111, 0.0179, 0.2546], [0.3219, 0.7822, 0.2574], [0.3857, 0.2444, 0.2522], [0.3930, 0.6109, 0.2528], [0.3978, 0.4097, 0.7342], [0.4794, 0.8964, 0.7542], [0.5206, 0.1036, 0.7542], [0.6022, 0.5903, 0.7342], [0.6070, 0.3891, 0.2528], [0.6143, 0.7556, 0.2522], [0.6781, 0.2178, 0.2574], [0.6889, 0.9821, 0.2546], [0.8111, 0.4821, 0.7454], [0.8219, 0.7178, 0.7426], [0.8857, 0.2556, 0.7478], [0.8930, 0.8891, 0.7472], [0.8978, 0.0903, 0.2658], [0.9794, 0.6036, 0.2458]],
  "final_energy_ev_per_atom": -5.876,
  "e_form_ev_per_atom": -1.990,
  "spacegroup": "No. 18",
  "energy_corrected_mp2020_ev_per_atom": -6.177
}